## CoPPd (PBE-GGA)

Data for an optimized crystal structure of CoPPd.

Structure (POSCAR):
```
CoPPd
1.0
3.619 0.000 0.000
0.000 3.619 0.000
0.000 0.000 5.842
Co P Pd
2 2 2
direct
0.250 0.750 0.000
0.750 0.250 0.000
0.250 0.250 0.221
0.750 0.750 0.779
0.250 0.250 0.622
0.750 0.750 0.378
```

As for the energy of formation: -0.602 eV per atom. The value obtained for the electronic total energy is -19.51 eV per formula unit. The space group is P4/nmm.



## PrCo8P5 (PBE-GGA)

Data for an optimized crystal structure of PrCo8P5.

Structure (POSCAR):
```
PrCo8P5
1.0
3.545 0.000 0.000
0.000 10.423 0.000
0.000 0.000 9.242
Pr Co P
2 16 10
direct
0.250 0.250 0.177
0.750 0.750 0.823
0.250 0.004 0.890
0.250 0.083 0.479
0.250 0.250 0.848
0.250 0.417 0.479
0.250 0.496 0.890
0.250 0.607 0.303
0.250 0.750 0.546
0.250 0.893 0.303
0.750 0.107 0.697
0.750 0.250 0.454
0.750 0.393 0.697
0.750 0.504 0.110
0.750 0.583 0.521
0.750 0.750 0.152
0.750 0.917 0.521
0.750 0.996 0.110
0.250 0.250 0.615
0.250 0.557 0.661
0.250 0.630 0.067
0.250 0.870 0.067
0.250 0.943 0.661
0.750 0.057 0.339
0.750 0.130 0.933
0.750 0.370 0.933
0.750 0.443 0.339
0.750 0.750 0.385
```

As for the energy of formation: -0.710 eV per atom. The value obtained for the electronic total energy is -98.65 eV per formula unit. The space group is Pmmn.



## PrCo2P2 (PBE-GGA)

Data for an optimized crystal structure of PrCo2P2.

Structure (POSCAR):
```
PrCo2P2
1.0
-1.923 1.923 5.239
1.923 -1.923 5.239
1.923 1.923 -5.239
Pr Co P
1 2 2
direct
0.000 0.000 0.000
0.250 0.750 0.500
0.750 0.250 0.500
0.358 0.358 0.000
0.642 0.642 0.000
```

As for the energy of formation: -0.966 eV per atom. The value obtained for the electronic total energy is -34.65 eV per formula unit. The space group is I4/mmm.



## PrCo5P3 (PBE-GGA)

Data for an optimized crystal structure of PrCo5P3.

Structure (POSCAR):
```
PrCo5P3
1.0
11.856 0.000 0.000
0.000 3.700 0.000
0.000 0.000 10.415
Pr Co P
4 20 12
direct
0.202 0.250 0.083
0.298 0.750 0.583
0.702 0.250 0.417
0.798 0.750 0.917
0.010 0.750 0.095
0.010 0.750 0.713
0.067 0.750 0.469
0.175 0.250 0.779
0.196 0.250 0.382
0.304 0.750 0.882
0.325 0.750 0.279
0.433 0.250 0.969
0.490 0.250 0.213
0.490 0.250 0.595
0.510 0.750 0.405
0.510 0.750 0.787
0.567 0.750 0.031
0.675 0.250 0.721
0.696 0.250 0.118
0.804 0.750 0.618
0.825 0.750 0.221
0.933 0.250 0.531
0.990 0.250 0.287
0.990 0.250 0.905
0.107 0.750 0.894
0.110 0.250 0.582
0.130 0.750 0.276
0.370 0.250 0.776
0.390 0.750 0.082
0.393 0.250 0.394
0.607 0.750 0.606
0.610 0.250 0.918
0.630 0.750 0.224
0.870 0.250 0.724
0.890 0.750 0.418
0.893 0.250 0.106
```

As for the energy of formation: -0.759 eV per atom. The value obtained for the electronic total energy is -63.39 eV per formula unit. The space group is Pnma.